[1]
VASP calculation (PBE+U) on a relaxed structure of Mn4O7F.

Output
The value obtained for the spin magnetization is 26.0 μB per cell. As for the energy with MP2020 corrections: -191.58 eV per cell. The density comes out at 4.74 g/cm³. The formation energy comes out at -22.59 eV/f.u. As for the space-group type: Cc (9).

Lattice parameters (Å, degrees): 6.698 5.508 6.698 89.90 96.08 90.10
Atoms (fractional coordinates):
O (0.099, 0.108, 0.675)
O (0.153, 0.115, 0.077)
O (0.593, 0.115, 0.170)
O (0.659, 0.107, 0.579)
O (0.930, 0.396, 0.352)
O (0.824, 0.389, 0.904)
O (0.080, 0.615, 0.657)
O (0.575, 0.608, 0.151)
O (0.898, 0.896, 0.320)
O (0.418, 0.385, 0.840)
O (0.671, 0.607, 0.591)
O (0.173, 0.615, 0.097)
O (0.410, 0.885, 0.832)
O (0.346, 0.889, 0.426)
Mn (0.874, 0.170, 0.133)
Mn (0.624, 0.856, 0.371)
Mn (0.373, 0.352, 0.117)
Mn (0.117, 0.670, 0.376)
Mn (0.133, 0.852, 0.877)
Mn (0.879, 0.356, 0.626)
Mn (0.618, 0.631, 0.867)
Mn (0.383, 0.131, 0.632)
F (0.838, 0.878, 0.917)
F (0.333, 0.378, 0.412)

=====

[2]
VASP calculation (PBE+U) on a relaxed structure of VH10S2N2O8.

Output
The value obtained for the spin magnetization is 2.0 μB per cell. As for the energy with MP2020 corrections: -271.12 eV per cell. The density comes out at 2.01 g/cm³. The formation energy comes out at -28.02 eV/f.u. As for the space-group type: P2_1/c (14).

Lattice parameters (Å, degrees): 5.141 6.722 13.484 90.00 90.00 93.95
Atoms (fractional coordinates):
N (0.000, 0.280, 0.221)
N (0.000, 0.720, 0.779)
N (0.500, 0.780, 0.279)
N (0.500, 0.220, 0.721)
O (0.189, 0.576, 0.084)
O (0.970, 0.221, 0.582)
O (0.235, 0.166, 0.407)
O (0.030, 0.779, 0.418)
O (0.918, 0.102, 0.847)
O (0.689, 0.076, 0.416)
O (0.530, 0.279, 0.082)
O (0.470, 0.721, 0.918)
O (0.735, 0.666, 0.093)
O (0.811, 0.424, 0.916)
O (0.582, 0.398, 0.347)
O (0.265, 0.334, 0.907)
O (0.082, 0.898, 0.153)
O (0.311, 0.924, 0.584)
O (0.765, 0.834, 0.593)
O (0.418, 0.602, 0.653)
H (0.122, 0.255, 0.280)
H (0.878, 0.745, 0.720)
H (0.580, 0.893, 0.325)
H (0.823, 0.318, 0.249)
H (0.420, 0.107, 0.675)
H (0.920, 0.607, 0.825)
H (0.929, 0.655, 0.434)
H (0.429, 0.155, 0.066)
H (0.378, 0.245, 0.780)
H (0.323, 0.818, 0.251)
H (0.021, 0.853, 0.819)
H (0.521, 0.353, 0.681)
H (0.071, 0.345, 0.566)
H (0.622, 0.755, 0.220)
H (0.479, 0.647, 0.319)
H (0.571, 0.845, 0.934)
H (0.177, 0.682, 0.751)
H (0.979, 0.147, 0.181)
H (0.080, 0.393, 0.175)
H (0.677, 0.182, 0.749)
V (0.000, 0.000, 0.500)
V (0.500, 0.500, 0.000)
S (0.019, 0.760, 0.067)
S (0.481, 0.740, 0.567)
S (0.981, 0.240, 0.933)
S (0.519, 0.260, 0.433)

=====

[3]
VASP calculation (PBE+U) on a relaxed structure of Sr2YW2O7.

Output
The value obtained for the spin magnetization is 8.0 μB per cell. As for the energy with MP2020 corrections: -198.51 eV per cell. The density comes out at 5.67 g/cm³. The formation energy comes out at -28.86 eV/f.u. As for the space-group type: Ima2 (46).

Lattice parameters (Å, degrees): 13.952 13.952 13.952 156.94 155.78 33.69
Atoms (fractional coordinates):
W (0.594, 0.071, 0.521)
W (0.950, 0.427, 0.521)
W (0.094, 0.573, 0.523)
W (0.450, 0.929, 0.523)
O (0.818, 0.804, 0.515)
O (0.979, 0.546, 0.025)
O (0.921, 0.387, 0.596)
O (0.421, 0.825, 0.534)
O (0.834, 0.309, 0.036)
O (0.227, 0.701, 0.036)
O (0.318, 0.802, 0.014)
O (0.709, 0.175, 0.596)
O (0.727, 0.691, 0.526)
O (0.209, 0.613, 0.534)
O (0.334, 0.299, 0.526)
O (0.711, 0.196, 0.014)
O (0.479, 0.454, 0.434)
O (0.211, 0.198, 0.515)
Sr (0.770, 0.711, 0.854)
Sr (0.643, 0.584, 0.854)
Sr (0.143, 0.289, 0.059)
Sr (0.270, 0.416, 0.059)
Y (0.018, 0.000, 0.018)
Y (0.518, 0.500, 0.018)

=====

[4]
VASP calculation (PBE+U) on a relaxed structure of Na4W5O15.

Output
As for the energy with MP2020 corrections: -196.33 eV per cell. The density comes out at 6.69 g/cm³. The formation energy comes out at -52.03 eV/f.u. As for the space-group type: C2/m (12).

Lattice parameters (Å, degrees): 8.829 8.829 6.874 75.42 75.42 36.95
Atoms (fractional coordinates):
Na (0.598, 0.598, 0.600)
Na (0.402, 0.402, 0.400)
Na (0.801, 0.801, 0.800)
Na (0.199, 0.199, 0.200)
O (0.299, 0.299, 0.801)
O (0.096, 0.596, 0.108)
O (0.695, 0.201, 0.696)
O (0.305, 0.799, 0.304)
O (0.201, 0.695, 0.696)
O (0.895, 0.895, 0.401)
O (0.596, 0.096, 0.108)
O (0.701, 0.701, 0.199)
O (0.000, 0.500, 0.500)
O (0.404, 0.904, 0.892)
O (0.799, 0.305, 0.304)
O (0.904, 0.404, 0.892)
O (0.500, 0.000, 0.500)
O (0.105, 0.105, 0.599)
O (0.500, 0.500, 0.000)
W (0.402, 0.402, 0.896)
W (0.598, 0.598, 0.104)
W (0.803, 0.803, 0.296)
W (0.000, 0.000, 0.500)
W (0.197, 0.197, 0.704)

=====

[5]
VASP calculation (PBE+U) on a relaxed structure of La2CrMoO6.

Output
The value obtained for the spin magnetization is 0.0 μB per cell. As for the energy with MP2020 corrections: -90.12 eV per cell. The density comes out at 6.68 g/cm³. The formation energy comes out at -30.07 eV/f.u. As for the space-group type: I4/m (87).

Lattice parameters (Å, degrees): 5.650 5.650 5.699 60.29 60.29 90.00
Atoms (fractional coordinates):
O (0.688, 0.828, 0.000)
O (0.242, 0.242, 0.515)
O (0.758, 0.758, 0.485)
O (0.312, 0.172, 0.000)
O (0.828, 0.312, 0.000)
O (0.172, 0.688, 0.000)
La (0.750, 0.250, 0.500)
La (0.250, 0.750, 0.500)
Mo (0.500, 0.500, 0.000)
Cr (0.000, 0.000, 0.000)

=====

[6]
VASP calculation (PBE+U) on a relaxed structure of Li4FeTeW2O12.

Output
The value obtained for the spin magnetization is 10.0 μB per cell. As for the energy with MP2020 corrections: -291.70 eV per cell. The density comes out at 5.93 g/cm³. The formation energy comes out at -41.31 eV/f.u. As for the space-group type: P1 (1).

Lattice parameters (Å, degrees): 7.555 7.585 7.578 86.49 93.30 93.55
Atoms (fractional coordinates):
O (0.245, 0.945, 0.575)
O (0.942, 0.257, 0.942)
O (0.948, 0.745, 0.426)
O (0.446, 0.424, 0.737)
O (0.940, 0.440, 0.257)
O (0.778, 0.081, 0.416)
O (0.592, 0.720, 0.574)
O (0.758, 0.419, 0.556)
O (0.571, 0.075, 0.758)
O (0.939, 0.938, 0.732)
O (0.743, 0.931, 0.050)
O (0.067, 0.561, 0.746)
O (0.427, 0.922, 0.234)
O (0.559, 0.550, 0.259)
O (0.251, 0.051, 0.936)
O (0.444, 0.254, 0.425)
O (0.240, 0.433, 0.046)
O (0.549, 0.239, 0.059)
O (0.249, 0.570, 0.439)
O (0.079, 0.039, 0.259)
O (0.755, 0.546, 0.944)
O (0.448, 0.756, 0.920)
O (0.058, 0.739, 0.044)
O (0.076, 0.258, 0.563)
Li (0.282, 0.219, 0.203)
Li (0.204, 0.802, 0.805)
Li (0.748, 0.741, 0.235)
Li (0.199, 0.792, 0.267)
Li (0.720, 0.783, 0.810)
Li (0.699, 0.296, 0.271)
Li (0.705, 0.298, 0.811)
Li (0.228, 0.277, 0.800)
W (0.998, 0.497, 0.005)
W (0.495, 0.995, 0.008)
W (0.499, 0.507, 0.504)
W (0.998, 0.012, 0.499)
Fe (0.992, 0.005, 0.002)
Fe (0.491, 0.508, 0.000)
Te (0.495, 0.012, 0.518)
Te (0.000, 0.502, 0.505)

=====

[7]
VASP calculation (PBE+U) on a relaxed structure of KMgNiIO6.

Output
The value obtained for the spin magnetization is 2.0 μB per cell. As for the energy with MP2020 corrections: -53.65 eV per cell. The density comes out at 4.52 g/cm³. The formation energy comes out at -13.95 eV/f.u. As for the space-group type: C2 (5).

Lattice parameters (Å, degrees): 5.301 5.301 5.201 90.09 90.09 119.81
Atoms (fractional coordinates):
Ni (0.333, 0.667, 0.500)
K (0.001, 0.999, 0.000)
O (0.612, 0.013, 0.281)
O (0.987, 0.388, 0.719)
O (0.402, 0.388, 0.281)
O (0.403, 0.016, 0.718)
O (0.984, 0.597, 0.282)
O (0.612, 0.598, 0.719)
Mg (0.337, 0.663, 0.000)
I (0.667, 0.333, 0.500)

=====

[8]
VASP calculation (PBE+U) on a relaxed structure of BaYV4O7.

Output
The value obtained for the spin magnetization is 22.0 μB per cell. As for the energy with MP2020 corrections: -223.10 eV per cell. The density comes out at 4.60 g/cm³. The formation energy comes out at -32.19 eV/f.u. As for the space-group type: P6_3mc (186).

Lattice parameters (Å, degrees): 6.496 6.496 10.705 90.00 90.00 120.00
Atoms (fractional coordinates):
Y (0.333, 0.667, 0.390)
Y (0.667, 0.333, 0.890)
O (0.841, 0.682, 0.003)
O (0.494, 0.506, 0.776)
O (0.988, 0.494, 0.276)
O (0.159, 0.841, 0.503)
O (0.682, 0.841, 0.503)
O (0.012, 0.506, 0.776)
O (0.000, 0.000, 0.741)
O (0.506, 0.494, 0.276)
O (0.159, 0.318, 0.503)
O (0.506, 0.012, 0.276)
O (0.841, 0.159, 0.003)
O (0.494, 0.988, 0.776)
O (0.000, 0.000, 0.241)
O (0.318, 0.159, 0.003)
V (0.643, 0.822, 0.689)
V (0.000, 0.000, 0.425)
V (0.178, 0.822, 0.689)
V (0.357, 0.178, 0.189)
V (0.178, 0.357, 0.689)
V (0.000, 0.000, 0.925)
V (0.822, 0.178, 0.189)
V (0.822, 0.643, 0.189)
Ba (0.333, 0.667, 0.974)
Ba (0.667, 0.333, 0.474)